# Li6Mn3VP6O24

A relaxed Li6Mn3VP6O24 crystal (PBE+U, the Materials Project).

The structure in CIF format:
```
data_Li6Mn3VP6O24
_chemical_formula_sum 'Li12 Mn6 V2 P12 O48'
_symmetry_space_group_name_H-M 'P 1 21 1'
_symmetry_Int_Tables_number 4
_cell_length_a 8.705
_cell_length_b 8.758
_cell_length_c 12.310
_cell_angle_alpha 90.00
_cell_angle_beta 91.27
_cell_angle_gamma 90.00
loop_
_symmetry_equiv_pos_as_xyz
'x,y,z'
'-x,y+1/2,-z'
loop_
_atom_site_label
_atom_site_type_symbol
_atom_site_fract_x
_atom_site_fract_y
_atom_site_fract_z
_atom_site_occupancy
Li1 Li 0.041 0.000 0.075 1
Li2 Li 0.169 0.086 0.484 1
Li3 Li 0.172 0.696 0.551 1
Li4 Li 0.324 0.476 0.008 1
Li5 Li 0.326 0.862 0.946 1
Li6 Li 0.458 0.553 0.431 1
Mn1 Mn 0.002 0.245 0.647 1
Mn2 Mn 0.004 0.322 0.141 1
Mn3 Mn 0.494 0.239 0.359 1
V1 V 0.495 0.311 0.856 1
P1 P 0.145 0.399 0.392 1
P2 P 0.148 0.683 0.094 1
P3 P 0.211 0.529 0.753 1
P4 P 0.288 0.034 0.740 1
P5 P 0.350 0.878 0.397 1
P6 P 0.352 0.161 0.099 1
O1 O 0.049 0.279 0.454 1
O2 O 0.076 0.735 0.198 1
O3 O 0.079 0.604 0.816 1
O4 O 0.103 0.521 0.054 1
O5 O 0.103 0.567 0.428 1
O6 O 0.112 0.806 0.004 1
O7 O 0.118 0.386 0.268 1
O8 O 0.148 0.407 0.674 1
O9 O 0.170 0.890 0.392 1
O10 O 0.179 0.104 0.653 1
O11 O 0.179 0.178 0.073 1
O12 O 0.207 0.926 0.818 1
O13 O 0.293 0.645 0.681 1
O14 O 0.317 0.378 0.420 1
O15 O 0.323 0.460 0.843 1
O16 O 0.330 0.678 0.099 1
O17 O 0.360 0.163 0.817 1
O18 O 0.392 0.189 0.216 1
O19 O 0.393 0.752 0.479 1
O20 O 0.398 0.990 0.068 1
O21 O 0.401 0.037 0.439 1
O22 O 0.418 0.839 0.285 1
O23 O 0.422 0.962 0.682 1
O24 O 0.442 0.279 0.025 1
```

Calculated values
The calculation puts the formation energy at -2598.6 meV per atom. The energy above the most stable polymorph in this dataset is 7 meV per atom. As for the spin magnetization: 28.00 μB/cell.

# MgV4O8

A relaxed MgV4O8 crystal (PBE+U, the Materials Project).

The structure in CIF format:
```
data_MgV4O8
_chemical_formula_sum 'Mg1 V4 O8'
_symmetry_space_group_name_H-M 'P 1 m 1'
_symmetry_Int_Tables_number 6
_cell_length_a 2.951
_cell_length_b 9.903
_cell_length_c 5.082
_cell_angle_alpha 90.00
_cell_angle_beta 106.73
_cell_angle_gamma 90.00
loop_
_symmetry_equiv_pos_as_xyz
'x,y,z'
'x,-y,z'
loop_
_atom_site_label
_atom_site_type_symbol
_atom_site_fract_x
_atom_site_fract_y
_atom_site_fract_z
_atom_site_occupancy
Mg1 Mg 0.000 0.000 0.000 1
V1 V 0.473 0.327 0.950 1
V2 V 0.741 0.179 0.484 1
O1 O 0.099 0.246 0.204 1
O2 O 0.382 0.135 0.766 1
O3 O 0.534 0.500 0.073 1
O4 O 0.645 0.000 0.294 1
O5 O 0.850 0.350 0.703 1
```

Calculated values
The calculation puts the formation energy at -2476.8 meV per atom. The energy above the most stable polymorph in this dataset is 66 meV per atom. As for the spin magnetization: 6.00 μB/cell.

# Mn3AgP3O12

A relaxed Mn3AgP3O12 crystal (PBE+U, the Materials Project).

The structure in CIF format:
```
data_Mn3AgP3O12
_chemical_formula_sum 'Mn12 Ag4 P12 O48'
_symmetry_space_group_name_H-M 'C 1 2/c 1'
_symmetry_Int_Tables_number 15
_cell_length_a 12.020
_cell_length_b 12.463
_cell_length_c 6.817
_cell_angle_alpha 90.00
_cell_angle_beta 116.58
_cell_angle_gamma 90.00
loop_
_symmetry_equiv_pos_as_xyz
'x,y,z'
'-x,-y,-z'
'-x,y,-z+1/2'
'x,-y,z+1/2'
'x+1/2,y+1/2,z'
'-x+1/2,-y+1/2,-z'
'-x+1/2,y+1/2,-z+1/2'
'x+1/2,-y+1/2,z+1/2'
loop_
_atom_site_label
_atom_site_type_symbol
_atom_site_fract_x
_atom_site_fract_y
_atom_site_fract_z
_atom_site_occupancy
Mn1 Mn 0.000 0.218 0.250 1
Mn2 Mn 0.219 0.341 0.128 1
Ag1 Ag 0.000 0.485 0.750 1
P1 P 0.000 0.196 0.750 1
P2 P 0.228 0.384 0.614 1
O1 O 0.043 0.269 0.961 1
O2 O 0.105 0.122 0.758 1
O3 O 0.137 0.107 0.348 1
O4 O 0.147 0.331 0.383 1
O5 O 0.168 0.497 0.606 1
O6 O 0.217 0.318 0.799 1
```

Calculated values
The calculation puts the formation energy at -2286.8 meV per atom. As for the spin magnetization: 52.00 μB/cell.

# Li3Mn4O8

A relaxed Li3Mn4O8 crystal (PBE+U, the Materials Project).

The structure in CIF format:
```
data_Li3Mn4O8
_chemical_formula_sum 'Li12 Mn16 O32'
_symmetry_space_group_name_H-M 'C 1 2/m 1'
_symmetry_Int_Tables_number 12
_cell_length_a 10.362
_cell_length_b 5.794
_cell_length_c 10.961
_cell_angle_alpha 90.00
_cell_angle_beta 108.92
_cell_angle_gamma 90.00
loop_
_symmetry_equiv_pos_as_xyz
'x,y,z'
'-x,-y,-z'
'-x,y,-z'
'x,-y,z'
'x+1/2,y+1/2,z'
'-x+1/2,-y+1/2,-z'
'-x+1/2,y+1/2,-z'
'x+1/2,-y+1/2,z'
loop_
_atom_site_label
_atom_site_type_symbol
_atom_site_fract_x
_atom_site_fract_y
_atom_site_fract_z
_atom_site_occupancy
Li1 Li 0.000 0.000 0.000 1
Li2 Li 0.000 0.500 0.500 1
Li3 Li 0.085 0.000 0.212 1
Li4 Li 0.085 0.500 0.713 1
Mn1 Mn 0.000 0.000 0.500 1
Mn2 Mn 0.000 0.500 0.000 1
Mn3 Mn 0.249 0.000 0.748 1
Mn4 Mn 0.250 0.250 0.000 1
Mn5 Mn 0.250 0.250 0.500 1
O1 O 0.125 0.240 0.601 1
O2 O 0.126 0.261 0.102 1
O3 O 0.140 0.500 0.395 1
O4 O 0.141 0.000 0.895 1
O5 O 0.148 0.500 0.896 1
O6 O 0.149 0.000 0.396 1
```

Calculated values
The calculation puts the formation energy at -2070.4 meV per atom. The energy above the most stable polymorph in this dataset is 25 meV per atom. As for the spin magnetization: 20.01 μB/cell.

# CsEuMo2O8

A relaxed CsEuMo2O8 crystal (PBE+U, the Materials Project).

The structure in CIF format:
```
data_CsEuMo2O8
_chemical_formula_sum 'Cs2 Eu2 Mo4 O16'
_symmetry_space_group_name_H-M 'P c c m'
_symmetry_Int_Tables_number 49
_cell_length_a 5.172
_cell_length_b 9.687
_cell_length_c 8.301
_cell_angle_alpha 90.00
_cell_angle_beta 90.00
_cell_angle_gamma 90.00
loop_
_symmetry_equiv_pos_as_xyz
'x,y,z'
'-x,-y,-z'
'-x,-y,z'
'x,y,-z'
'x,-y,-z+1/2'
'-x,y,z+1/2'
'-x,y,-z+1/2'
'x,-y,z+1/2'
loop_
_atom_site_label
_atom_site_type_symbol
_atom_site_fract_x
_atom_site_fract_y
_atom_site_fract_z
_atom_site_occupancy
Cs1 Cs 0.000 0.000 0.250 1
Eu1 Eu 0.000 0.500 0.250 1
Mo1 Mo 0.482 0.299 0.000 1
O1 O 0.256 0.431 0.500 1
O2 O 0.267 0.306 0.172 1
O3 O 0.373 0.136 0.500 1
```

Calculated values
The calculation puts the formation energy at -2356.7 meV per atom. As for the spin magnetization: 11.99 μB/cell.

# Li9Mn2Co5O16

A relaxed Li9Mn2Co5O16 crystal (PBE+U, the Materials Project).

The structure in CIF format:
```
data_Li9Mn2Co5O16
_chemical_formula_sum 'Li9 Mn2 Co5 O16'
_symmetry_space_group_name_H-M 'P 1'
_symmetry_Int_Tables_number 1
_cell_length_a 5.892
_cell_length_b 5.908
_cell_length_c 8.108
_cell_angle_alpha 90.55
_cell_angle_beta 91.04
_cell_angle_gamma 93.00
loop_
_symmetry_equiv_pos_as_xyz
'x,y,z'
loop_
_atom_site_label
_atom_site_type_symbol
_atom_site_fract_x
_atom_site_fract_y
_atom_site_fract_z
_atom_site_occupancy
Li1 Li 0.000 0.000 0.000 1
Li2 Li 0.000 0.497 0.494 1
Li3 Li 0.248 0.740 0.249 1
Li4 Li 0.249 0.257 0.247 1
Li5 Li 0.502 0.498 0.491 1
Li6 Li 0.504 0.999 0.494 1
Li7 Li 0.753 0.741 0.744 1
Li8 Li 0.756 0.256 0.743 1
Li9 Li 0.999 0.498 0.998 1
Mn1 Mn 0.001 0.996 0.493 1
Mn2 Mn 0.246 0.749 0.745 1
Co1 Co 0.245 0.256 0.744 1
Co2 Co 0.501 0.501 0.997 1
Co3 Co 0.504 0.001 0.996 1
Co4 Co 0.755 0.250 0.246 1
Co5 Co 0.757 0.739 0.248 1
O1 O 0.000 0.981 0.258 1
O2 O 0.015 0.514 0.748 1
O3 O 0.023 0.987 0.737 1
O4 O 0.234 0.768 0.509 1
O5 O 0.243 0.235 0.514 1
O6 O 0.262 0.764 0.985 1
O7 O 0.267 0.265 0.978 1
O8 O 0.472 0.516 0.750 1
O9 O 0.492 0.988 0.760 1
O10 O 0.509 0.511 0.237 1
O11 O 0.518 0.015 0.231 1
O12 O 0.736 0.734 0.011 1
O13 O 0.737 0.241 0.002 1
O14 O 0.759 0.760 0.482 1
O15 O 0.776 0.223 0.487 1
O16 O 0.984 0.480 0.245 1
```

Calculated values
The calculation puts the formation energy at -1809.4 meV per atom. The energy above the most stable polymorph in this dataset is 55 meV per atom. As for the spin magnetization: 16.00 μB/cell.